No. 1
Crystalline Cr3Sn2Sb3O16 at its relaxed geometry, computed with GGA+U.

abc: 6.130 6.130 9.478
angles: 90.05 90.05 60.27
Element x y z (fractional)
Cr (0.000, 0.000, 0.000)
Cr (0.167, 0.661, 0.499)
Cr (0.661, 0.167, 0.499)
Sn (0.154, 0.154, 0.295)
Sn (0.485, 0.485, 0.768)
Sb (0.495, 0.999, 0.003)
Sb (0.663, 0.663, 0.501)
Sb (0.999, 0.495, 0.003)
O (0.157, 0.661, 0.895)
O (0.166, 0.166, 0.889)
O (0.310, 0.875, 0.121)
O (0.312, 0.312, 0.127)
O (0.348, 0.348, 0.618)
O (0.351, 0.791, 0.627)
O (0.501, 0.501, 0.394)
O (0.502, 0.990, 0.387)
O (0.661, 0.157, 0.895)
O (0.664, 0.664, 0.894)
O (0.791, 0.351, 0.627)
O (0.828, 0.828, 0.598)
O (0.830, 0.830, 0.103)
O (0.875, 0.310, 0.121)
O (0.989, 0.989, 0.391)
O (0.990, 0.502, 0.387)

**Formation energy**: -1.994 eV/atom
**Energy with MP2020 corrections**: -176.39 eV for the cell shown
**Total magnetization**: 0.375 μB/atom

=====

No. 2
Crystalline Sr2CrSbO6 at its relaxed geometry, computed with GGA+U.

abc: 5.646 5.646 5.694
angles: 120.26 120.26 59.95
Element x y z (fractional)
Sr (0.250, 0.250, 0.246)
Sr (0.750, 0.750, 0.754)
Cr (0.000, 0.000, 0.500)
Sb (0.500, 0.500, 0.000)
O (0.220, 0.717, 0.216)
O (0.252, 0.252, 0.693)
O (0.283, 0.780, 0.784)
O (0.717, 0.220, 0.216)
O (0.748, 0.748, 0.307)
O (0.780, 0.283, 0.784)

**Formation energy**: -2.674 eV/atom
**Energy with MP2020 corrections**: -73.59 eV for the cell shown
**Total magnetization**: 0.300 μB/atom

=====

No. 3
Crystalline Sr2CrSbO6 at its relaxed geometry, computed with GGA+U.

abc: 5.655 5.655 5.655
angles: 60.00 60.00 60.00
Element x y z (fractional)
Sr (0.250, 0.250, 0.250)
Sr (0.750, 0.750, 0.750)
Cr (0.000, 0.000, 0.000)
Sb (0.500, 0.500, 0.500)
O (0.252, 0.252, 0.748)
O (0.252, 0.748, 0.252)
O (0.252, 0.748, 0.748)
O (0.748, 0.252, 0.252)
O (0.748, 0.252, 0.748)
O (0.748, 0.748, 0.252)

**Formation energy**: -2.647 eV/atom
**Energy with MP2020 corrections**: -73.32 eV for the cell shown
**Total magnetization**: 0.300 μB/atom

=====

No. 4
Crystalline Sr2CrSbO6 at its relaxed geometry, computed with GGA+U.

abc: 5.615 5.615 16.181
angles: 90.00 90.00 90.00
Element x y z (fractional)
Sr (0.000, 0.500, 0.125)
Sr (0.500, 0.000, 0.125)
Sr (0.500, 0.000, 0.875)
Sr (0.500, 0.000, 0.625)
Sr (0.000, 0.500, 0.875)
Sr (0.000, 0.500, 0.375)
Sr (0.500, 0.000, 0.375)
Sr (0.000, 0.500, 0.625)
O (0.292, 0.205, 0.250)
O (0.500, 0.500, 0.376)
O (0.708, 0.796, 0.250)
O (0.204, 0.708, 0.250)
O (0.292, 0.205, 0.750)
O (0.795, 0.292, 0.250)
O (0.205, 0.708, 0.750)
O (0.296, 0.792, 0.000)
O (0.704, 0.208, 0.000)
O (0.500, 0.500, 0.124)
O (0.000, 0.000, 0.126)
O (0.208, 0.295, 0.500)
O (0.705, 0.208, 0.500)
O (0.500, 0.500, 0.876)
O (0.792, 0.705, 0.500)
O (0.000, 0.000, 0.374)
O (0.208, 0.296, 0.000)
O (0.296, 0.792, 0.500)
O (0.708, 0.795, 0.750)
O (0.795, 0.292, 0.750)
O (0.000, 0.000, 0.626)
O (0.000, 0.000, 0.874)
O (0.792, 0.704, 0.000)
O (0.500, 0.500, 0.624)
Cr (0.000, 0.000, 0.000)
Cr (0.500, 0.500, 0.750)
Cr (0.500, 0.500, 0.250)
Cr (0.000, 0.000, 0.500)
Sb (0.000, 0.000, 0.750)
Sb (0.000, 0.000, 0.250)
Sb (0.500, 0.500, 0.000)
Sb (0.500, 0.500, 0.500)

**Formation energy**: -2.673 eV/atom
**Energy with MP2020 corrections**: -294.33 eV for the cell shown
**Total magnetization**: 0.000 μB/atom

=====

No. 5
Crystalline CrSbTeO6 at its relaxed geometry, computed with GGA+U.

abc: 6.796 6.796 10.800
angles: 71.66 71.66 90.00
Element x y z (fractional)
O (0.501, 0.819, 0.999)
O (0.501, 0.183, 0.999)
O (0.001, 0.683, 0.999)
O (0.887, 0.088, 0.825)
O (0.001, 0.319, 0.999)
O (0.162, 0.463, 0.677)
O (0.569, 0.751, 0.499)
O (0.662, 0.360, 0.677)
O (0.069, 0.251, 0.499)
O (0.162, 0.860, 0.677)
O (0.110, 0.912, 0.177)
O (0.433, 0.251, 0.499)
O (0.713, 0.912, 0.177)
O (0.662, 0.964, 0.677)
O (0.288, 0.088, 0.825)
O (0.213, 0.412, 0.177)
O (0.610, 0.412, 0.177)
O (0.338, 0.038, 0.325)
O (0.933, 0.751, 0.499)
O (0.838, 0.137, 0.325)
O (0.387, 0.588, 0.825)
O (0.338, 0.637, 0.325)
O (0.788, 0.588, 0.825)
O (0.838, 0.538, 0.325)
Cr (0.916, 0.416, 0.168)
Cr (0.416, 0.916, 0.168)
Cr (0.666, 0.666, 0.668)
Cr (0.166, 0.166, 0.668)
Sb (0.333, 0.333, 0.333)
Sb (0.833, 0.833, 0.333)
Sb (0.583, 0.083, 0.833)
Sb (0.083, 0.583, 0.833)
Te (0.750, 0.250, 0.499)
Te (0.501, 0.501, 0.999)
Te (0.250, 0.750, 0.499)
Te (0.001, 0.001, 0.999)

**Formation energy**: -1.824 eV/atom
**Energy with MP2020 corrections**: -252.13 eV for the cell shown
**Total magnetization**: 0.000 μB/atom

=====

No. 6
Crystalline Ti3Cr3Sb2O16 at its relaxed geometry, computed with GGA+U.

abc: 5.959 5.988 9.334
angles: 89.77 89.93 60.19
Element x y z (fractional)
Ti (0.000, 0.000, 0.000)
Ti (0.176, 0.657, 0.488)
Ti (0.505, 0.497, 0.001)
Cr (0.164, 0.173, 0.499)
Cr (0.507, 0.003, 0.998)
Cr (0.674, 0.671, 0.509)
Sb (0.001, 0.495, 0.777)
Sb (0.667, 0.158, 0.279)
O (0.161, 0.169, 0.890)
O (0.161, 0.658, 0.895)
O (0.287, 0.365, 0.627)
O (0.333, 0.828, 0.093)
O (0.343, 0.826, 0.590)
O (0.380, 0.312, 0.129)
O (0.503, 0.996, 0.389)
O (0.505, 0.488, 0.391)
O (0.674, 0.657, 0.891)
O (0.676, 0.174, 0.892)
O (0.814, 0.307, 0.130)
O (0.818, 0.876, 0.128)
O (0.851, 0.360, 0.627)
O (0.852, 0.789, 0.628)
O (0.989, 0.513, 0.395)
O (0.995, 0.994, 0.392)

**Formation energy**: -2.529 eV/atom
**Energy with MP2020 corrections**: -200.76 eV for the cell shown
**Total magnetization**: 0.333 μB/atom

=====

No. 7
Crystalline Ti2Cr3Sb3O16 at its relaxed geometry, computed with GGA+U.

abc: 6.096 6.096 9.106
angles: 90.37 90.37 60.17
Element x y z (fractional)
Ti (0.000, 0.000, 0.000)
Ti (0.673, 0.673, 0.529)
Cr (0.183, 0.687, 0.733)
Cr (0.522, 0.522, 0.234)
Cr (0.687, 0.183, 0.733)
Sb (0.017, 0.521, 0.236)
Sb (0.183, 0.183, 0.734)
Sb (0.521, 0.017, 0.236)
O (0.006, 0.519, 0.622)
O (0.019, 0.019, 0.625)
O (0.179, 0.687, 0.124)
O (0.186, 0.186, 0.125)
O (0.299, 0.876, 0.868)
O (0.350, 0.350, 0.834)
O (0.354, 0.354, 0.344)
O (0.403, 0.829, 0.362)
O (0.519, 0.006, 0.622)
O (0.523, 0.523, 0.624)
O (0.686, 0.686, 0.118)
O (0.687, 0.179, 0.124)
O (0.829, 0.403, 0.362)
O (0.834, 0.834, 0.364)
O (0.873, 0.873, 0.863)
O (0.876, 0.299, 0.868)

**Formation energy**: -2.352 eV/atom
**Energy with MP2020 corrections**: -192.75 eV for the cell shown
**Total magnetization**: 0.375 μB/atom

=====

No. 8
Crystalline VCrSbO6 at its relaxed geometry, computed with GGA+U.

abc: 4.617 4.617 9.240
angles: 90.00 90.00 90.00
Element x y z (fractional)
V (0.000, 0.000, 0.000)
V (0.500, 0.500, 0.500)
Cr (0.000, 0.000, 0.667)
Cr (0.500, 0.500, 0.167)
Sb (0.000, 0.000, 0.333)
Sb (0.500, 0.500, 0.833)
O (0.193, 0.193, 0.164)
O (0.193, 0.193, 0.836)
O (0.201, 0.201, 0.499)
O (0.299, 0.701, 0.999)
O (0.307, 0.693, 0.336)
O (0.307, 0.693, 0.664)
O (0.693, 0.307, 0.336)
O (0.693, 0.307, 0.664)
O (0.701, 0.299, 0.999)
O (0.799, 0.799, 0.499)
O (0.807, 0.807, 0.164)
O (0.807, 0.807, 0.836)

**Formation energy**: -2.260 eV/atom
**Largest piezoelectric modulus**: 0.2 C/m2
**Energy with MP2020 corrections**: -145.79 eV for the cell shown
**Total magnetization**: 0.000 μB/atom

=====

No. 9
Crystalline V2Cr3Sb3O16 at its relaxed geometry, computed with GGA+U.

abc: 6.087 6.087 9.060
angles: 90.24 90.24 60.35
Element x y z (fractional)
V (0.000, 0.000, 0.000)
V (0.677, 0.677, 0.525)
Cr (0.158, 0.158, 0.291)
Cr (0.490, 0.991, 0.795)
Cr (0.991, 0.490, 0.795)
Sb (0.158, 0.661, 0.288)
Sb (0.494, 0.494, 0.788)
Sb (0.661, 0.158, 0.288)
O (0.154, 0.154, 0.899)
O (0.158, 0.675, 0.900)
O (0.275, 0.852, 0.160)
O (0.326, 0.326, 0.179)
O (0.326, 0.326, 0.691)
O (0.378, 0.804, 0.655)
O (0.495, 0.495, 0.398)
O (0.501, 0.991, 0.398)
O (0.658, 0.658, 0.901)
O (0.675, 0.158, 0.900)
O (0.802, 0.802, 0.660)
O (0.804, 0.378, 0.655)
O (0.848, 0.848, 0.155)
O (0.852, 0.275, 0.160)
O (0.991, 0.501, 0.398)
O (0.992, 0.992, 0.406)

**Formation energy**: -2.098 eV/atom
**Energy with MP2020 corrections**: -189.03 eV for the cell shown
**Total magnetization**: 0.458 μB/atom

=====

No. 10
Crystalline V3Cr3Sb2O16 at its relaxed geometry, computed with GGA+U.

abc: 5.938 5.953 9.341
angles: 89.34 89.70 60.21
Element x y z (fractional)
V (0.000, 0.000, 0.000)
V (0.009, 0.491, 0.984)
V (0.172, 0.656, 0.494)
Cr (0.495, 0.994, 0.988)
Cr (0.663, 0.658, 0.487)
Cr (0.664, 0.166, 0.488)
Sb (0.180, 0.157, 0.269)
Sb (0.514, 0.484, 0.768)
O (0.017, 0.485, 0.384)
O (0.017, 0.987, 0.385)
O (0.154, 0.160, 0.886)
O (0.181, 0.646, 0.884)
O (0.307, 0.868, 0.120)
O (0.311, 0.306, 0.114)
O (0.344, 0.358, 0.618)
O (0.346, 0.782, 0.618)
O (0.475, 0.507, 0.384)
O (0.508, 0.991, 0.375)
O (0.672, 0.157, 0.877)
O (0.673, 0.650, 0.881)
O (0.791, 0.347, 0.616)
O (0.843, 0.826, 0.082)
O (0.852, 0.816, 0.581)
O (0.880, 0.309, 0.119)

**Formation energy**: -2.169 eV/atom
**Energy with MP2020 corrections**: -195.69 eV for the cell shown
**Total magnetization**: 0.458 μB/atom

=====

No. 11
Crystalline Zn2CrSbO6 at its relaxed geometry, computed with GGA+U.

abc: 5.250 7.712 5.303
angles: 90.00 90.04 90.00
Element x y z (fractional)
Zn (0.013, 0.250, 0.446)
Zn (0.481, 0.750, 0.019)
Zn (0.519, 0.250, 0.981)
Zn (0.987, 0.750, 0.554)
Cr (0.000, 0.000, 0.000)
Cr (0.000, 0.500, 0.000)
Sb (0.500, 0.000, 0.500)
Sb (0.500, 0.500, 0.500)
O (0.113, 0.750, 0.923)
O (0.181, 0.067, 0.677)
O (0.181, 0.433, 0.677)
O (0.328, 0.067, 0.182)
O (0.328, 0.433, 0.182)
O (0.369, 0.750, 0.423)
O (0.631, 0.250, 0.577)
O (0.672, 0.567, 0.818)
O (0.672, 0.933, 0.818)
O (0.819, 0.567, 0.323)
O (0.819, 0.933, 0.323)
O (0.887, 0.250, 0.077)

**Formation energy**: -1.910 eV/atom
**Energy with MP2020 corrections**: -130.18 eV for the cell shown
**Total magnetization**: 0.301 μB/atom

=====

No. 12
Crystalline Cr2Se6O15 at its relaxed geometry, computed with GGA+U.

abc: 11.183 11.645 15.640
angles: 90.00 130.30 90.00
Element x y z (fractional)
Cr (0.000, 0.000, 0.000)
Cr (0.000, 0.000, 0.500)
Cr (0.000, 0.500, 0.000)
Cr (0.000, 0.500, 0.500)
Cr (0.500, 0.000, 0.000)
Cr (0.500, 0.000, 0.500)
Cr (0.500, 0.500, 0.000)
Cr (0.500, 0.500, 0.500)
Se (0.113, 0.248, 0.485)
Se (0.113, 0.252, 0.985)
Se (0.157, 0.607, 0.891)
Se (0.157, 0.893, 0.391)
Se (0.202, 0.631, 0.450)
Se (0.202, 0.869, 0.950)
Se (0.331, 0.246, 0.419)
Se (0.331, 0.254, 0.919)
Se (0.336, 0.547, 0.247)
Se (0.336, 0.953, 0.747)
Se (0.381, 0.533, 0.742)
Se (0.381, 0.967, 0.242)
Se (0.619, 0.033, 0.758)
Se (0.619, 0.467, 0.258)
Se (0.664, 0.047, 0.253)
Se (0.664, 0.453, 0.753)
Se (0.669, 0.746, 0.081)
Se (0.669, 0.754, 0.581)
Se (0.798, 0.131, 0.050)
Se (0.798, 0.369, 0.550)
Se (0.843, 0.107, 0.609)
Se (0.843, 0.393, 0.109)
Se (0.887, 0.748, 0.015)
Se (0.887, 0.752, 0.515)
O (0.015, 0.123, 0.417)
O (0.015, 0.377, 0.917)
O (0.027, 0.569, 0.394)
O (0.027, 0.931, 0.894)
O (0.037, 0.657, 0.570)
O (0.037, 0.843, 0.070)
O (0.110, 0.618, 0.975)
O (0.110, 0.882, 0.475)
O (0.117, 0.745, 0.342)
O (0.117, 0.755, 0.842)
O (0.151, 0.211, 0.890)
O (0.151, 0.289, 0.390)
O (0.208, 0.050, 0.646)
O (0.208, 0.450, 0.146)
O (0.234, 0.029, 0.115)
O (0.234, 0.471, 0.615)
O (0.269, 0.543, 0.402)
O (0.269, 0.957, 0.902)
O (0.351, 0.016, 0.329)
O (0.351, 0.484, 0.829)
O (0.357, 0.617, 0.986)
O (0.357, 0.883, 0.486)
O (0.370, 0.124, 0.496)
O (0.370, 0.376, 0.996)
O (0.453, 0.047, 0.857)
O (0.453, 0.453, 0.357)
O (0.462, 0.161, 0.025)
O (0.462, 0.339, 0.525)
O (0.467, 0.572, 0.217)
O (0.467, 0.928, 0.717)
O (0.533, 0.072, 0.283)
O (0.533, 0.428, 0.783)
O (0.538, 0.661, 0.475)
O (0.538, 0.839, 0.975)
O (0.547, 0.547, 0.643)
O (0.547, 0.953, 0.143)
O (0.630, 0.624, 0.004)
O (0.630, 0.876, 0.504)
O (0.643, 0.117, 0.514)
O (0.643, 0.383, 0.014)
O (0.649, 0.516, 0.171)
O (0.649, 0.984, 0.671)
O (0.731, 0.043, 0.098)
O (0.731, 0.457, 0.598)
O (0.766, 0.529, 0.385)
O (0.766, 0.971, 0.885)
O (0.792, 0.550, 0.854)
O (0.792, 0.950, 0.354)
O (0.849, 0.711, 0.610)
O (0.849, 0.789, 0.110)
O (0.883, 0.245, 0.158)
O (0.883, 0.255, 0.658)
O (0.890, 0.118, 0.525)
O (0.890, 0.382, 0.025)
O (0.963, 0.157, 0.930)
O (0.963, 0.343, 0.430)
O (0.973, 0.069, 0.106)
O (0.973, 0.431, 0.606)
O (0.985, 0.623, 0.083)
O (0.985, 0.877, 0.583)

**Formation energy**: -1.314 eV/atom
**Energy with MP2020 corrections**: -578.88 eV for the cell shown
**Total magnetization**: 0.008 μB/atom